1.
A plane-wave DFT calculation with PBE was carried out for Na3Y3NbP5SO24 after structural relaxation.

Output
Energy of formation from the pure elements = -2.984 eV/atom
Mass density = 2.91 g cm⁻³
Space-group type = No. 1
Total magnetic moment = 0.0 μB/f.u.

Geometry as POSCAR:
```
Na3Y3NbP5SO24
1.0
-7.087 -3.934 -4.231
5.157 -4.834 5.820
-14.146 6.407 17.899
Na Y Nb P S O
9 9 3 15 3 72
Direct
0.649 0.646 0.750
0.301 0.960 0.083
0.333 0.021 0.415
0.979 0.999 0.501
0.985 0.999 0.998
0.665 0.318 0.833
0.664 0.333 0.329
0.331 0.661 0.168
0.316 0.656 0.663
0.000 0.002 0.352
0.005 0.004 0.853
0.997 0.002 0.649
0.999 0.000 0.144
0.670 0.330 0.687
0.663 0.330 0.185
0.335 0.659 0.018
0.336 0.659 0.518
0.334 0.671 0.319
0.670 0.337 0.978
0.680 0.347 0.482
0.327 0.665 0.818
0.297 0.996 0.250
0.296 0.306 0.752
0.008 0.708 0.752
0.694 0.990 0.754
0.957 0.329 0.583
0.671 0.627 0.585
0.955 0.624 0.081
0.671 0.050 0.079
0.379 0.331 0.080
0.624 0.658 0.916
0.033 0.376 0.917
0.344 0.965 0.919
0.633 0.975 0.421
0.342 0.368 0.418
0.035 0.665 0.419
0.700 0.703 0.250
0.003 0.300 0.250
0.374 0.044 0.580
0.207 0.007 0.304
0.797 0.790 0.301
0.986 0.201 0.301
0.217 0.196 0.804
0.973 0.789 0.802
0.805 0.016 0.805
0.764 0.946 0.701
0.191 0.232 0.698
0.044 0.813 0.698
0.785 0.803 0.199
0.012 0.213 0.198
0.195 0.985 0.195
0.870 0.340 0.635
0.473 0.127 0.631
0.656 0.531 0.639
0.872 0.524 0.134
0.648 0.130 0.133
0.477 0.346 0.134
0.483 0.321 0.027
0.843 0.522 0.026
0.683 0.164 0.026
0.465 0.145 0.528
0.676 0.515 0.532
0.842 0.322 0.529
0.544 0.683 0.969
0.135 0.455 0.970
0.320 0.867 0.974
0.549 0.865 0.472
0.312 0.447 0.470
0.150 0.698 0.469
0.102 0.625 0.365
0.516 0.903 0.368
0.375 0.475 0.365
0.132 0.496 0.865
0.363 0.862 0.868
0.506 0.633 0.863
0.012 0.819 0.412
0.811 0.004 0.413
0.195 0.183 0.413
0.004 0.199 0.910
0.195 0.992 0.910
0.802 0.806 0.909
0.966 0.166 0.581
0.207 0.033 0.581
0.837 0.798 0.582
0.968 0.800 0.080
0.831 0.036 0.080
0.209 0.159 0.079
0.661 0.137 0.747
0.482 0.347 0.746
0.852 0.528 0.746
0.687 0.535 0.248
0.853 0.322 0.248
0.476 0.157 0.249
0.632 0.489 0.923
0.857 0.369 0.922
0.512 0.143 0.923
0.645 0.154 0.430
0.504 0.348 0.429
0.852 0.506 0.430
0.352 0.481 0.077
0.136 0.653 0.077
0.507 0.876 0.075
0.354 0.873 0.577
0.515 0.645 0.579
0.131 0.490 0.578
0.314 0.835 0.252
0.528 0.683 0.252
0.160 0.468 0.252
0.312 0.487 0.763
0.169 0.688 0.765
0.514 0.822 0.765
```


2.
A plane-wave DFT calculation with PBE was carried out for Er2As7Rh12 after structural relaxation.

Output
Energy of formation from the pure elements = -0.683 eV/atom
Mass density = 10.27 g cm⁻³
Space-group type = No. 143
Total magnetic moment = 0.0 μB/f.u.

Geometry as POSCAR:
```
Er2As7Rh12
1.0
4.998 -8.657 0.000
4.998 8.657 0.000
0.000 0.000 3.914
Er As Rh
2 7 12
Direct
0.667 0.333 0.749
0.333 0.667 0.250
0.000 0.000 0.589
0.287 0.880 0.751
0.120 0.407 0.751
0.593 0.713 0.751
0.712 0.117 0.249
0.883 0.595 0.249
0.405 0.288 0.249
0.068 0.618 0.752
0.382 0.449 0.752
0.551 0.932 0.752
0.931 0.381 0.251
0.619 0.550 0.251
0.450 0.069 0.251
0.269 0.116 0.752
0.884 0.153 0.752
0.847 0.731 0.752
0.740 0.886 0.250
0.114 0.854 0.250
0.146 0.260 0.250
```


3.
A plane-wave DFT calculation with PBE was carried out for CrHgH18N6Cl5 after structural relaxation.

Output
Energy of formation from the pure elements = -0.671 eV/atom
Mass density = 2.31 g cm⁻³
Space-group type = No. 228
Total magnetic moment = 3.0 μB/f.u.

Geometry as POSCAR:
```
CrHgH18N6Cl5
1.0
14.120 0.000 8.152
4.707 13.313 8.152
0.000 0.000 16.305
H N Cl Cr Hg
144 48 40 8 8
Direct
0.997 0.927 0.187
0.573 0.313 0.112
0.112 0.503 0.573
0.573 0.112 0.503
0.313 0.503 0.112
0.313 0.112 0.573
0.112 0.313 0.503
0.187 0.997 0.927
0.927 0.187 0.997
0.388 0.997 0.187
0.927 0.388 0.187
0.388 0.927 0.997
0.187 0.927 0.388
0.997 0.187 0.388
0.997 0.388 0.927
0.112 0.573 0.313
0.503 0.112 0.313
0.503 0.573 0.112
0.573 0.503 0.313
0.313 0.573 0.503
0.503 0.313 0.573
0.187 0.388 0.997
0.388 0.187 0.927
0.927 0.997 0.388
0.003 0.073 0.813
0.427 0.687 0.888
0.888 0.497 0.427
0.427 0.888 0.497
0.687 0.497 0.888
0.687 0.888 0.427
0.888 0.687 0.497
0.813 0.003 0.073
0.073 0.813 0.003
0.612 0.003 0.813
0.073 0.612 0.813
0.612 0.073 0.003
0.813 0.073 0.612
0.003 0.813 0.612
0.003 0.612 0.073
0.888 0.427 0.687
0.497 0.888 0.687
0.497 0.427 0.888
0.427 0.497 0.687
0.687 0.427 0.497
0.497 0.687 0.427
0.813 0.612 0.003
0.612 0.813 0.073
0.073 0.003 0.612
0.881 0.979 0.189
0.521 0.311 0.049
0.049 0.619 0.521
0.521 0.049 0.619
0.311 0.619 0.049
0.311 0.049 0.521
0.049 0.311 0.619
0.189 0.881 0.979
0.979 0.189 0.881
0.451 0.881 0.189
0.979 0.451 0.189
0.451 0.979 0.881
0.189 0.979 0.451
0.881 0.189 0.451
0.881 0.451 0.979
0.049 0.521 0.311
0.619 0.049 0.311
0.619 0.521 0.049
0.521 0.619 0.311
0.311 0.521 0.619
0.619 0.311 0.521
0.189 0.451 0.881
0.451 0.189 0.979
0.979 0.881 0.451
0.119 0.021 0.811
0.479 0.689 0.951
0.951 0.381 0.479
0.479 0.951 0.381
0.689 0.381 0.951
0.689 0.951 0.479
0.951 0.689 0.381
0.811 0.119 0.021
0.021 0.811 0.119
0.549 0.119 0.811
0.021 0.549 0.811
0.549 0.021 0.119
0.811 0.021 0.549
0.119 0.811 0.549
0.119 0.549 0.021
0.951 0.479 0.689
0.381 0.951 0.689
0.381 0.479 0.951
0.479 0.381 0.689
0.689 0.479 0.381
0.381 0.689 0.479
0.811 0.549 0.119
0.549 0.811 0.021
0.021 0.119 0.549
0.943 0.051 0.159
0.449 0.341 0.154
0.154 0.557 0.449
0.449 0.154 0.557
0.341 0.557 0.154
0.341 0.154 0.449
0.154 0.341 0.557
0.159 0.943 0.051
0.051 0.159 0.943
0.346 0.943 0.159
0.051 0.346 0.159
0.346 0.051 0.943
0.159 0.051 0.346
0.943 0.159 0.346
0.943 0.346 0.051
0.154 0.449 0.341
0.557 0.154 0.341
0.557 0.449 0.154
0.449 0.557 0.341
0.341 0.449 0.557
0.557 0.341 0.449
0.159 0.346 0.943
0.346 0.159 0.051
0.051 0.943 0.346
0.057 0.949 0.841
0.551 0.659 0.846
0.846 0.443 0.551
0.551 0.846 0.443
0.659 0.443 0.846
0.659 0.846 0.551
0.846 0.659 0.443
0.841 0.057 0.949
0.949 0.841 0.057
0.654 0.057 0.841
0.949 0.654 0.841
0.654 0.949 0.057
0.841 0.949 0.654
0.057 0.841 0.654
0.057 0.654 0.949
0.846 0.551 0.659
0.443 0.846 0.659
0.443 0.551 0.846
0.551 0.443 0.659
0.659 0.551 0.443
0.443 0.659 0.551
0.841 0.654 0.057
0.654 0.841 0.949
0.949 0.057 0.654
0.950 0.990 0.150
0.510 0.350 0.090
0.090 0.550 0.510
0.510 0.090 0.550
0.350 0.550 0.090
0.350 0.090 0.510
0.090 0.350 0.550
0.150 0.950 0.990
0.990 0.150 0.950
0.410 0.950 0.150
0.990 0.410 0.150
0.410 0.990 0.950
0.150 0.990 0.410
0.950 0.150 0.410
0.950 0.410 0.990
0.090 0.510 0.350
0.550 0.090 0.350
0.550 0.510 0.090
0.510 0.550 0.350
0.350 0.510 0.550
0.550 0.350 0.510
0.150 0.410 0.950
0.410 0.150 0.990
0.990 0.950 0.410
0.050 0.010 0.850
0.490 0.650 0.910
0.910 0.450 0.490
0.490 0.910 0.450
0.650 0.450 0.910
0.650 0.910 0.490
0.910 0.650 0.450
0.850 0.050 0.010
0.010 0.850 0.050
0.590 0.050 0.850
0.010 0.590 0.850
0.590 0.010 0.050
0.850 0.010 0.590
0.050 0.850 0.590
0.050 0.590 0.010
0.910 0.490 0.650
0.450 0.910 0.650
0.450 0.490 0.910
0.490 0.450 0.650
0.650 0.490 0.450
0.450 0.650 0.490
0.850 0.590 0.050
0.590 0.850 0.010
0.010 0.050 0.590
0.187 0.187 0.187
0.313 0.313 0.561
0.561 0.313 0.313
0.313 0.561 0.313
0.939 0.187 0.187
0.187 0.939 0.187
0.187 0.187 0.939
0.313 0.313 0.313
0.813 0.813 0.813
0.687 0.687 0.439
0.439 0.687 0.687
0.687 0.439 0.687
0.061 0.813 0.813
0.813 0.061 0.813
0.813 0.813 0.061
0.687 0.687 0.687
0.250 0.419 0.081
0.081 0.419 0.750
0.750 0.250 0.081
0.081 0.750 0.250
0.419 0.250 0.750
0.419 0.750 0.081
0.750 0.419 0.250
0.081 0.250 0.419
0.419 0.081 0.250
0.250 0.081 0.750
0.250 0.750 0.419
0.750 0.081 0.419
0.750 0.581 0.919
0.919 0.581 0.250
0.250 0.750 0.919
0.919 0.250 0.750
0.581 0.750 0.250
0.581 0.250 0.919
0.250 0.581 0.750
0.919 0.750 0.581
0.581 0.919 0.750
0.750 0.919 0.250
0.750 0.250 0.581
0.250 0.919 0.581
0.000 0.000 0.000
0.500 0.500 0.000
0.000 0.500 0.500
0.500 0.000 0.500
0.500 0.000 0.000
0.000 0.500 0.000
0.000 0.000 0.500
0.500 0.500 0.500
0.250 0.250 0.250
0.250 0.250 0.750
0.750 0.250 0.250
0.250 0.750 0.250
0.750 0.750 0.750
0.750 0.750 0.250
0.250 0.750 0.750
0.750 0.250 0.750
```


4.
A plane-wave DFT calculation with PBE was carried out for BaH2I2O7 after structural relaxation.

Output
Energy of formation from the pure elements = -1.466 eV/atom
Mass density = 4.42 g cm⁻³
Space-group type = No. 15
Total magnetic moment = 0.0 μB/f.u.

Geometry as POSCAR:
```
BaH2I2O7
1.0
5.159 -1.335 5.837
6.341 -4.403 -1.698
8.623 3.061 0.106
Ba H I O
2 4 4 14
Direct
0.141 0.859 0.250
0.859 0.141 0.750
0.708 0.227 0.362
0.773 0.292 0.138
0.292 0.773 0.638
0.227 0.708 0.862
0.346 0.284 0.193
0.716 0.654 0.307
0.654 0.716 0.807
0.284 0.346 0.693
0.809 0.191 0.250
0.191 0.809 0.750
0.224 0.407 0.500
0.593 0.776 0.000
0.776 0.593 0.500
0.407 0.224 0.000
0.572 0.258 0.587
0.742 0.428 0.913
0.428 0.742 0.413
0.258 0.572 0.087
0.200 0.097 0.866
0.903 0.800 0.634
0.800 0.903 0.134
0.097 0.200 0.366
```